# 1
First-principles (r2SCAN) data for crystalline CaSmPd2 at its relaxed geometry, as listed in the Materials Project.

a = 4.9954 Å, b = 4.9954 Å, c = 4.9954 Å
α = 60.00°, β = 60.00°, γ = 60.00°
With the nearest neighbours (Å) after each atom.
Fractional coordinates of all 4 atoms:
Pd  0.7500  0.7500  0.7500  4 Ca 3.06, 4 Sm 3.06
Pd  0.2500  0.2500  0.2500  4 Ca 3.06, 4 Sm 3.06
Sm  0.0000  0.0000  0.0000  8 Pd 3.06
Ca  0.5000  0.5000  0.5000  8 Pd 3.06

Formation energy from the elements in meV/atom: -760

***

# 2
First-principles (r2SCAN) data for crystalline ZrNiGe at its relaxed geometry, as listed in the Materials Project.

a = 3.8762 Å, b = 6.5576 Å, c = 7.3335 Å
α = 90.00°, β = 90.00°, γ = 90.00°
With the nearest neighbours (Å) after each atom.
Fractional coordinates of all 12 atoms:
Ge  0.2500  0.7675  0.3865  4 Ni 2.41-2.52
Ge  0.2500  0.2675  0.1135  4 Ni 2.41-2.52
Ge  0.7500  0.2325  0.6135  4 Ni 2.41-2.52
Ge  0.7500  0.7325  0.8865  4 Ni 2.41-2.52
Zr  0.7500  0.4830  0.3092  5 Ge 2.75-2.80, 3 Ni 2.84
Zr  0.2500  0.0170  0.8092  5 Ge 2.75-2.80, 3 Ni 2.84
Zr  0.2500  0.5170  0.6908  5 Ge 2.75-2.80, 3 Ni 2.84
Zr  0.7500  0.9830  0.1908  5 Ge 2.75-2.80, 3 Ni 2.84
Ni  0.2500  0.6395  0.0623  4 Ge 2.41-2.52
Ni  0.7500  0.8605  0.5623  4 Ge 2.41-2.52
Ni  0.7500  0.3605  0.9377  4 Ge 2.41-2.52
Ni  0.2500  0.1395  0.4377  4 Ge 2.41-2.52

Formation energy from the elements in meV/atom: -827

***

# 3
First-principles (r2SCAN) data for crystalline Tb3SiBr3 at its relaxed geometry, as listed in the Materials Project.

a = 10.0234 Å, b = 10.0237 Å, c = 10.0233 Å
α = 109.47°, β = 109.47°, γ = 109.47°
With the nearest neighbours (Å) after each atom.
Fractional coordinates of all 28 atoms:
Br  0.5065  0.2500  0.9935  4 Tb 2.98-3.04
Br  0.2500  0.7564  0.7435  4 Tb 2.98-3.04
Br  0.7565  0.5129  0.5065  4 Tb 2.98-3.04
Br  0.2500  0.9936  0.5065  4 Tb 2.98-3.04
Br  0.5065  0.7564  0.5129  4 Tb 2.98-3.04
Br  0.9935  0.9871  0.7435  4 Tb 2.98-3.04
Br  0.7565  0.7436  0.2500  4 Tb 2.98-3.04
Br  0.7436  0.2500  0.7565  4 Tb 2.98-3.04
Br  0.9935  0.5064  0.2500  4 Tb 2.98-3.04
Br  0.5129  0.5064  0.7564  4 Tb 2.98-3.04
Br  0.9871  0.7435  0.9935  4 Tb 2.98-3.04
Br  0.7436  0.9936  0.9871  4 Tb 2.98-3.04
Si  0.5000  0.0000  0.2500  6 Tb 2.76
Si  0.0000  0.2500  0.5000  6 Tb 2.76
Si  0.2500  0.5000  0.0000  6 Tb 2.76
Si  0.2500  0.2500  0.2500  6 Tb 2.76
Tb  0.2382  0.2618  0.7500  2 Si 2.76, 4 Br 2.98-3.04
Tb  0.2618  0.0118  0.0237  2 Si 2.76, 4 Br 2.98-3.04
Tb  0.7500  0.2382  0.2618  2 Si 2.76, 4 Br 2.98-3.04
Tb  0.2618  0.7500  0.2382  2 Si 2.76, 4 Br 2.98-3.04
Tb  0.0118  0.4882  0.7500  2 Si 2.76, 4 Br 2.98-3.04
Tb  0.2382  0.4763  0.4882  2 Si 2.76, 4 Br 2.98-3.04
Tb  0.0237  0.2618  0.0118  2 Si 2.76, 4 Br 2.98-3.04
Tb  0.4882  0.2382  0.4763  2 Si 2.76, 4 Br 2.98-3.04
Tb  0.4882  0.7500  0.0118  2 Si 2.76, 4 Br 2.98-3.04
Tb  0.4763  0.4882  0.2382  2 Si 2.76, 4 Br 2.98-3.04
Tb  0.0118  0.0237  0.2618  2 Si 2.76, 4 Br 2.98-3.04
Tb  0.7500  0.0118  0.4882  2 Si 2.76, 4 Br 2.98-3.04

Formation energy from the elements in meV/atom: -1611

***

# 4
First-principles (r2SCAN) data for crystalline Na9Sn4 at its relaxed geometry, as listed in the Materials Project.

a = 5.3801 Å, b = 5.3801 Å, c = 28.8243 Å
α = 90.00°, β = 90.00°, γ = 120.01°
With the nearest neighbours (Å) after each atom.
Fractional coordinates of all 26 atoms:
Na  0.3333  0.6667  0.9824  5 Na 3.18-3.33, 3 Sn 3.26
Na  0.0000  0.0000  0.1795  3 Sn 3.17, 3 Na 3.38
Na  0.3333  0.6667  0.4072  4 Sn 3.14-3.33, 4 Na 3.18-3.32
Na  0.3333  0.6667  0.8669  8 Na 3.32-3.38, 3 Sn 3.68
Na  0.6667  0.3333  0.0176  5 Na 3.18-3.33, 3 Sn 3.25
Na  0.6667  0.3333  0.1332  8 Na 3.32-3.38, 3 Sn 3.67
Na  0.6667  0.3333  0.4824  5 Na 3.18-3.34, 3 Sn 3.25
Na  0.6667  0.3333  0.9072  4 Sn 3.13-3.33, 4 Na 3.18-3.32
Na  0.3334  0.6666  0.7503  8 Na 3.36-3.71, 6 Sn 3.41
Na  0.6666  0.3334  0.2498  8 Na 3.36-3.72, 6 Sn 3.41
Na  0.0001  0.0000  0.6796  3 Sn 3.17, 3 Na 3.38
Na  0.3333  0.6667  0.0926  4 Sn 3.13-3.33, 4 Na 3.18-3.32
Na  0.3333  0.6667  0.6334  8 Na 3.32-3.38, 3 Sn 3.67
Na  0.9999  0.0001  0.3205  3 Sn 3.17, 3 Na 3.38
Na  0.6667  0.3333  0.5928  4 Sn 3.13-3.33, 4 Na 3.18-3.32
Na  0.3333  0.6667  0.5177  5 Na 3.18-3.33, 3 Sn 3.26
Na  0.6667  0.3333  0.3667  8 Na 3.32-3.38, 3 Sn 3.68
Na  0.0000  0.0000  0.8205  3 Sn 3.17, 3 Na 3.38
Sn  0.0000  0.0000  0.9485  1 Sn 2.96, 3 Na 3.26
Sn  0.0000  0.0000  0.0512  1 Sn 2.96, 3 Na 3.25
Sn  0.6667  0.3333  0.7988  1 Sn 2.80, 1 Na 3.13
Sn  0.6667  0.3333  0.7015  1 Sn 2.80, 1 Na 3.13
Sn  0.0000  0.0000  0.4487  1 Sn 2.96, 3 Na 3.25
Sn  0.3333  0.6667  0.2012  1 Sn 2.80, 1 Na 3.13
Sn  0.3333  0.6667  0.2985  1 Sn 2.80, 1 Na 3.14
Sn  0.0000  0.0000  0.5515  1 Sn 2.96, 3 Na 3.26

Formation energy from the elements in meV/atom: -247

***

# 5
First-principles (r2SCAN) data for crystalline LaIn2Cl5 at its relaxed geometry, as listed in the Materials Project.

a = 8.1052 Å, b = 8.9507 Å, c = 12.8320 Å
α = 90.00°, β = 90.00°, γ = 90.00°
With the nearest neighbours (Å) after each atom.
Fractional coordinates of all 32 atoms:
In  0.0435  0.9933  0.1716  8 Cl 3.13-3.50
In  0.9565  0.0067  0.8284  8 Cl 3.13-3.50
In  0.5435  0.0067  0.3284  8 Cl 3.13-3.50
In  0.0435  0.5067  0.1716  8 Cl 3.13-3.50
In  0.4565  0.5067  0.6716  8 Cl 3.13-3.50
In  0.9565  0.4933  0.8284  8 Cl 3.13-3.50
In  0.5435  0.4933  0.3284  8 Cl 3.13-3.50
In  0.4565  0.9933  0.6716  8 Cl 3.13-3.50
Cl  0.3809  0.7500  0.1852  1 La 2.80
Cl  0.6673  0.4567  0.0778  2 La 2.88-2.91
Cl  0.8327  0.0433  0.5778  2 La 2.88-2.91
Cl  0.6191  0.2500  0.8148  1 La 2.80
Cl  0.1673  0.5433  0.4222  2 La 2.88-2.91
Cl  0.0726  0.2500  0.9936  1 La 2.84, 2 In 3.18
Cl  0.6673  0.0433  0.0778  2 La 2.88-2.91
Cl  0.8383  0.7500  0.2900  1 La 2.85, 2 In 3.13
Cl  0.1617  0.2500  0.7100  1 La 2.85, 2 In 3.13
Cl  0.6617  0.7500  0.7900  1 La 2.85, 2 In 3.13
Cl  0.1673  0.9567  0.4222  2 La 2.88-2.91
Cl  0.3383  0.2500  0.2100  1 La 2.85, 2 In 3.13
Cl  0.3327  0.9567  0.9222  2 La 2.88-2.91
Cl  0.5726  0.7500  0.5064  1 La 2.84, 2 In 3.18
Cl  0.9274  0.7500  0.0064  1 La 2.84, 2 In 3.18
Cl  0.8809  0.2500  0.3148  1 La 2.80
Cl  0.3327  0.5433  0.9222  2 La 2.88-2.91
Cl  0.4274  0.2500  0.4936  1 La 2.84, 2 In 3.18
Cl  0.8327  0.4567  0.5778  2 La 2.88-2.91
Cl  0.1191  0.7500  0.6852  1 La 2.80
La  0.0765  0.2500  0.4948  7 Cl 2.80-2.91
La  0.4235  0.2500  0.9948  7 Cl 2.80-2.91
La  0.5765  0.7500  0.0052  7 Cl 2.80-2.91
La  0.9235  0.7500  0.5052  7 Cl 2.80-2.91

Formation energy from the elements in meV/atom: -1802

***

# 6
First-principles (r2SCAN) data for crystalline Re3N at its relaxed geometry, as listed in the Materials Project.

a = 2.8223 Å, b = 2.8223 Å, c = 7.1481 Å
α = 90.00°, β = 90.00°, γ = 120.00°
With the nearest neighbours (Å) after each atom.
Fractional coordinates of all 4 atoms:
Re  0.3333  0.6667  0.1989  3 N 2.16
Re  0.6667  0.3333  0.5000  12 Re 2.70-2.82
Re  0.3333  0.6667  0.8011  3 N 2.16
N  0.6667  0.3333  0.0000  6 Re 2.16

Formation energy from the elements in meV/atom: -89

***

# 7
First-principles (r2SCAN) data for crystalline SmGdB12 at its relaxed geometry, as listed in the Materials Project.

a = 5.8095 Å, b = 5.8095 Å, c = 4.1046 Å
α = 90.00°, β = 90.00°, γ = 90.00°
With the nearest neighbours (Å) after each atom.
Fractional coordinates of all 14 atoms:
B  0.5000  0.0000  0.1992  5 B 1.64-1.75
B  0.3494  0.1502  0.5000  5 B 1.64-1.75
B  0.3494  0.8498  0.5000  5 B 1.64-1.75
B  0.8498  0.3494  0.5000  5 B 1.64-1.75
B  0.6506  0.8498  0.5000  5 B 1.64-1.75
B  0.0000  0.5000  0.8008  5 B 1.64-1.75
B  0.0000  0.5000  0.1992  5 B 1.64-1.75
B  0.5000  0.0000  0.8008  5 B 1.64-1.75
B  0.1502  0.3494  0.5000  5 B 1.64-1.75
B  0.6506  0.1502  0.5000  5 B 1.64-1.75
B  0.1502  0.6506  0.5000  5 B 1.64-1.75
B  0.8498  0.6506  0.5000  5 B 1.64-1.75
Sm  0.5000  0.5000  0.0000  24 B 3.02
Gd  0.0000  0.0000  0.0000  24 B 3.02

Formation energy from the elements in meV/atom: -508

***

# 8
First-principles (r2SCAN) data for crystalline ZrVCr at its relaxed geometry, as listed in the Materials Project.

a = 5.1078 Å, b = 5.1078 Å, c = 5.1078 Å
α = 122.09°, β = 117.75°, γ = 90.18°
With the nearest neighbours (Å) after each atom.
Fractional coordinates of all 6 atoms:
V  0.5000  0.5000  0.0000  4 Cr 2.55, 2 V 2.64
V  0.0000  0.5000  0.5000  4 Cr 2.55, 2 V 2.64
Cr  0.5000  0.5000  0.5000  2 Cr 2.47, 4 V 2.55
Cr  0.5000  0.0000  0.0000  2 Cr 2.47, 4 V 2.55
Zr  0.8725  0.1225  0.7500  6 V 2.94-3.03, 6 Cr 2.96-3.06, 4 Zr 3.08-3.18
Zr  0.1275  0.8775  0.2500  6 V 2.94-3.03, 6 Cr 2.96-3.06, 4 Zr 3.08-3.18

Formation energy from the elements in meV/atom: 98